KPu | Materials Project | PBE-GGA | optimized geometry; total DFT energy (no corrections) = -84.719 eV per cell; DFT formation energy = 0.6292 eV/atom; spin magnetization = 3.145 μB/cell; theoretical density = 5.51 g/cm³
1.0
5.991 0.000 0.000
0.334 6.348 0.000
1.228 0.910 13.471
K Pu
6 6
Cartesian
0.634 2.217 4.795
3.489 1.752 8.510
4.027 4.614 11.194
3.527 2.644 2.277
4.065 5.506 4.961
6.920 5.041 8.675
1.810 2.998 13.339
1.204 5.346 1.544
3.082 0.984 13.255
4.472 6.274 0.216
6.349 1.912 11.926
5.743 4.260 0.131